1.
The following is a GGA-PBE calculation of a relaxed Ge3Sb4O12 crystal, from the Materials Project.

Properties
Space group: I-43d, No. 220
Energy of formation (meV/atom): -1933

abc: 9.223 9.223 9.223
angles: 109.47 109.47 109.47
Sites, in units of the cell vectors:
1 O 0.559 0.214 0.414
2 O 0.714 0.059 0.914
3 O 0.059 0.914 0.714
4 O 0.700 0.345 0.786
5 O 0.644 0.800 0.586
6 O 0.655 0.941 0.356
7 O 0.586 0.644 0.800
8 O 0.441 0.155 0.856
9 O 0.414 0.559 0.214
10 O 0.086 0.300 0.144
11 O 0.941 0.356 0.655
12 O 0.845 0.200 0.286
13 O 0.786 0.700 0.345
14 O 0.914 0.714 0.059
15 O 0.800 0.586 0.644
16 O 0.300 0.144 0.086
17 O 0.356 0.655 0.941
18 O 0.155 0.856 0.441
19 O 0.856 0.441 0.155
20 O 0.144 0.086 0.300
21 O 0.214 0.414 0.559
22 O 0.286 0.845 0.200
23 O 0.200 0.286 0.845
24 O 0.345 0.786 0.700
25 Ge 0.375 0.625 0.750
26 Ge 0.875 0.250 0.125
27 Ge 0.125 0.875 0.250
28 Ge 0.250 0.125 0.875
29 Ge 0.750 0.375 0.625
30 Ge 0.625 0.750 0.375
31 Sb 0.305 0.305 0.305
32 Sb 0.500 0.000 0.195
33 Sb 0.000 0.195 0.500
34 Sb 0.000 0.695 0.500
35 Sb 0.695 0.500 0.000
36 Sb 0.805 0.805 0.805
37 Sb 0.500 0.000 0.695
38 Sb 0.195 0.500 0.000

2.
The following is a GGA-PBE calculation of a relaxed K2RbSbBr6 crystal, from the Materials Project.

Properties
Space group: Fm-3m, No. 225
Energy of formation (meV/atom): -1549

abc: 8.554 8.554 8.554
angles: 60.00 60.00 60.00
Sites, in units of the cell vectors:
1 Sb 0.000 0.000 0.000
2 Br 0.232 0.768 0.768
3 Br 0.768 0.768 0.232
4 Br 0.768 0.232 0.232
5 Br 0.232 0.768 0.232
6 Br 0.232 0.232 0.768
7 Br 0.768 0.232 0.768
8 K 0.250 0.250 0.250
9 K 0.750 0.750 0.750
10 Rb 0.500 0.500 0.500

3.
The following is a GGA-PBE calculation of a relaxed Na3TaIn3P5SO24 crystal, from the Materials Project.

Properties
Space group: P1, No. 1
Energy of formation (meV/atom): -2555

abc: 8.908 8.914 23.006
angles: 89.74 90.22 120.06
Sites, in units of the cell vectors:
1 O 0.220 0.189 0.805
2 O 0.504 0.865 0.075
3 O 0.673 0.515 0.533
4 O 0.842 0.802 0.583
5 O 0.311 0.864 0.976
6 O 0.969 0.164 0.582
7 O 0.966 0.788 0.803
8 O 0.510 0.142 0.923
9 O 0.469 0.146 0.528
10 O 0.486 0.340 0.745
11 O 0.186 0.227 0.695
12 O 0.501 0.347 0.428
13 O 0.647 0.532 0.643
14 O 0.648 0.151 0.430
15 O 0.634 0.492 0.923
16 O 0.167 0.687 0.763
17 O 0.845 0.323 0.530
18 O 0.354 0.867 0.577
19 O 0.477 0.357 0.138
20 O 0.853 0.505 0.430
21 O 0.880 0.350 0.639
22 O 0.816 0.998 0.411
23 O 0.481 0.163 0.248
24 O 0.205 0.159 0.081
25 O 0.967 0.802 0.082
26 O 0.133 0.493 0.864
27 O 0.837 0.035 0.083
28 O 0.664 0.147 0.745
29 O 0.104 0.622 0.363
30 O 0.140 0.498 0.578
31 O 0.376 0.481 0.362
32 O 0.473 0.122 0.634
33 O 0.195 0.984 0.193
34 O 0.044 0.819 0.695
35 O 0.158 0.706 0.470
36 O 0.810 0.027 0.806
37 O 0.765 0.944 0.698
38 O 0.301 0.443 0.471
39 O 0.352 0.491 0.077
40 O 0.636 0.118 0.137
41 O 0.548 0.693 0.971
42 O 0.845 0.525 0.746
43 O 0.316 0.833 0.253
44 O 0.358 0.860 0.867
45 O 0.843 0.521 0.028
46 O 0.014 0.825 0.411
47 O 0.858 0.367 0.922
48 O 0.015 0.213 0.196
49 O 0.204 0.034 0.581
50 O 0.552 0.857 0.473
51 O 0.006 0.190 0.910
52 O 0.508 0.638 0.862
53 O 0.142 0.652 0.078
54 O 0.683 0.160 0.027
55 O 0.783 0.806 0.197
56 O 0.162 0.471 0.253
57 O 0.810 0.816 0.909
58 O 0.800 0.785 0.303
59 O 0.188 0.180 0.411
60 O 0.524 0.680 0.254
61 O 0.316 0.485 0.762
62 O 0.516 0.829 0.764
63 O 0.848 0.324 0.247
64 O 0.978 0.197 0.303
65 O 0.140 0.450 0.973
66 O 0.877 0.521 0.138
67 O 0.512 0.901 0.366
68 O 0.482 0.321 0.028
69 O 0.508 0.650 0.579
70 O 0.184 0.990 0.911
71 O 0.212 0.014 0.306
72 O 0.688 0.530 0.247
73 P 0.039 0.667 0.417
74 P 0.037 0.372 0.918
75 P 0.336 0.370 0.417
76 P 0.336 0.962 0.920
77 P 0.963 0.334 0.584
78 P 0.669 0.043 0.082
79 P 0.627 0.665 0.917
80 P 0.633 0.968 0.419
81 P 0.668 0.630 0.586
82 P 0.295 0.298 0.751
83 P 0.956 0.622 0.083
84 P 0.299 0.998 0.250
85 P 0.005 0.709 0.750
86 P 0.377 0.336 0.082
87 P 0.699 0.998 0.752
88 In 0.994 0.002 0.649
89 In 0.999 0.001 0.350
90 In 0.999 0.999 0.144
91 In 0.672 0.333 0.685
92 In 0.005 0.004 0.851
93 In 0.333 0.661 0.017
94 In 0.335 0.658 0.516
95 In 0.663 0.329 0.184
96 In 0.335 0.671 0.319
97 Na 0.332 0.659 0.167
98 Na 0.649 0.643 0.747
99 Na 0.300 0.960 0.085
100 Na 0.668 0.336 0.326
101 Na 0.666 0.319 0.830
102 Na 0.980 0.000 0.500
103 Na 0.330 0.020 0.412
104 Na 0.317 0.657 0.659
105 Na 0.987 0.000 0.997
106 Ta 0.328 0.665 0.817
107 Ta 0.669 0.336 0.979
108 Ta 0.677 0.343 0.482
109 S 0.701 0.702 0.250
110 S 0.373 0.040 0.581
111 S 0.002 0.300 0.249

4.
The following is a GGA-PBE calculation of a relaxed Tl3H crystal, from the Materials Project.

Properties
Space group: P6_3/mmc, No. 194
Energy of formation (meV/atom): 379

abc: 7.219 7.219 4.637
angles: 90.00 90.00 120.00
Sites, in units of the cell vectors:
1 Tl 0.816 0.633 0.750
2 Tl 0.633 0.816 0.250
3 Tl 0.367 0.184 0.750
4 Tl 0.816 0.184 0.750
5 Tl 0.184 0.367 0.250
6 Tl 0.184 0.816 0.250
7 H 0.667 0.333 0.250
8 H 0.333 0.667 0.750

5.
The following is a GGA-PBE calculation of a relaxed Bi2P3O12 crystal, from the Materials Project.

Properties
Space group: R-3, No. 148
Energy of formation (meV/atom): -2162

abc: 9.490 9.490 9.490
angles: 54.89 54.89 54.89
Sites, in units of the cell vectors:
1 P 0.254 0.953 0.548
2 P 0.746 0.047 0.452
3 P 0.548 0.254 0.953
4 P 0.452 0.746 0.047
5 P 0.953 0.548 0.254
6 P 0.047 0.452 0.746
7 O 0.148 0.532 0.208
8 O 0.832 0.507 0.465
9 O 0.468 0.792 0.852
10 O 0.507 0.465 0.832
11 O 0.409 0.207 0.968
12 O 0.862 0.138 0.252
13 O 0.207 0.968 0.409
14 O 0.862 0.748 0.138
15 O 0.968 0.409 0.207
16 O 0.168 0.493 0.535
17 O 0.032 0.591 0.793
18 O 0.852 0.468 0.792
19 O 0.208 0.148 0.532
20 O 0.535 0.168 0.493
21 O 0.138 0.862 0.748
22 O 0.792 0.852 0.468
23 O 0.591 0.793 0.032
24 O 0.252 0.862 0.138
25 O 0.493 0.535 0.168
26 O 0.532 0.208 0.148
27 O 0.465 0.832 0.507
28 O 0.748 0.138 0.862
29 O 0.793 0.032 0.591
30 O 0.138 0.252 0.862
31 Bi 0.654 0.654 0.654
32 Bi 0.346 0.346 0.346
33 Bi 0.144 0.144 0.144
34 Bi 0.856 0.856 0.856

6.
The following is a GGA-PBE calculation of a relaxed Ag3N crystal, from the Materials Project.

Properties
Space group: I4/mmm, No. 139
Energy of formation (meV/atom): 981

abc: 4.918 4.918 4.918
angles: 132.94 132.94 68.75
Sites, in units of the cell vectors:
1 Ag 0.500 0.500 0.000
2 Ag 0.250 0.750 0.500
3 Ag 0.750 0.250 0.500
4 N 0.000 0.000 0.000

7.
The following is a GGA-PBE calculation of a relaxed Al crystal, from the Materials Project.

Properties
Space group: P1, No. 1
Energy of formation (meV/atom): 95

abc: 12.168 12.378 11.785
angles: 93.68 96.54 93.05
Sites, in units of the cell vectors:
1 Al 0.416 0.506 0.890
2 Al 0.789 0.979 0.527
3 Al 0.738 0.098 0.332
4 Al 0.125 0.869 0.650
5 Al 0.280 0.056 0.957
6 Al 0.610 0.830 0.553
7 Al 0.147 0.062 0.542
8 Al 0.822 0.637 0.813
9 Al 0.528 0.855 0.943
10 Al 0.349 0.814 0.582
11 Al 0.478 0.364 0.251
12 Al 0.058 0.967 0.860
13 Al 0.838 0.279 0.014
14 Al 0.210 0.385 0.824
15 Al 0.088 0.590 0.227
16 Al 0.598 0.718 0.754
17 Al 0.374 0.917 0.123
18 Al 0.465 0.680 0.431
19 Al 0.364 0.691 0.034
20 Al 0.303 0.016 0.729
21 Al 0.047 0.469 0.425
22 Al 0.386 0.727 0.793
23 Al 0.623 0.503 0.786
24 Al 0.828 0.433 0.562
25 Al 0.693 0.435 0.224
26 Al 0.436 0.386 0.687
27 Al 0.167 0.657 0.626
28 Al 0.352 0.053 0.484
29 Al 0.320 0.419 0.396
30 Al 0.721 0.091 0.964
31 Al 0.754 0.905 0.070
32 Al 0.800 0.767 0.462
33 Al 0.799 0.761 0.232
34 Al 0.201 0.871 0.414
35 Al 0.843 0.558 0.371
36 Al 0.031 0.698 0.427
37 Al 0.039 0.728 0.803
38 Al 0.152 0.161 0.095
39 Al 0.999 0.525 0.924
40 Al 0.032 0.485 0.701
41 Al 0.560 0.776 0.155
42 Al 0.243 0.626 0.417
43 Al 0.437 0.168 0.106
44 Al 0.642 0.272 0.855
45 Al 0.862 0.321 0.363
46 Al 0.139 0.267 0.426
47 Al 0.731 0.894 0.837
48 Al 0.402 0.586 0.615
49 Al 0.652 0.895 0.337
50 Al 0.974 0.050 0.661
51 Al 0.304 0.332 0.062
52 Al 0.587 0.010 0.131
53 Al 0.488 0.158 0.688
54 Al 0.971 0.210 0.210
55 Al 0.908 0.985 0.238
56 Al 0.446 0.258 0.484
57 Al 0.878 0.847 0.694
58 Al 0.955 0.128 0.428
59 Al 0.550 0.562 0.092
60 Al 0.376 0.560 0.233
61 Al 0.265 0.755 0.230
62 Al 0.057 0.322 0.978
63 Al 0.645 0.282 0.396
64 Al 0.218 0.440 0.594
65 Al 0.743 0.476 0.995
66 Al 0.302 0.213 0.284
67 Al 0.144 0.937 0.092
68 Al 0.706 0.082 0.727
69 Al 0.836 0.387 0.792
70 Al 0.513 0.932 0.720
71 Al 0.631 0.627 0.319
72 Al 0.032 0.807 0.229
73 Al 0.586 0.059 0.516
74 Al 0.271 0.231 0.639
75 Al 0.547 0.469 0.471
76 Al 0.924 0.825 0.965
77 Al 0.539 0.352 0.028
78 Al 0.693 0.617 0.584
79 Al 0.922 0.643 0.604
80 Al 0.383 0.252 0.863
81 Al 0.919 0.434 0.177
82 Al 0.981 0.908 0.448
83 Al 0.205 0.515 0.054
84 Al 0.143 0.173 0.821
85 Al 0.032 0.272 0.631
86 Al 0.431 0.883 0.365
87 Al 0.939 0.057 0.025
88 Al 0.675 0.221 0.157
89 Al 0.213 0.604 0.848
90 Al 0.690 0.695 0.983
91 Al 0.909 0.180 0.826
92 Al 0.899 0.638 0.086
93 Al 0.243 0.843 0.896
94 Al 0.115 0.715 0.032
95 Al 0.808 0.204 0.572
96 Al 0.136 0.056 0.302
97 Al 0.641 0.325 0.633
98 Al 0.488 0.094 0.310
99 Al 0.499 0.072 0.905
100 Al 0.144 0.374 0.218

8.
The following is a GGA-PBE calculation of a relaxed CsNb3P3O15 crystal, from the Materials Project.

Properties
Space group: Pnnm, No. 58
Energy of formation (meV/atom): -2809

abc: 6.595 13.207 15.655
angles: 90.00 90.00 90.00
Sites, in units of the cell vectors:
1 O 0.815 0.842 0.520
2 O 0.000 0.833 0.235
3 O 0.185 0.158 0.480
4 O 0.500 0.311 0.471
5 O 0.685 0.696 0.285
6 O 0.805 0.937 0.120
7 O 0.500 0.174 0.961
8 O 0.195 0.063 0.880
9 O 0.500 0.059 0.166
10 O 0.695 0.437 0.380
11 O 0.500 0.941 0.834
12 O 0.685 0.304 0.715
13 O 0.805 0.063 0.880
14 O 0.500 0.857 0.650
15 O 0.685 0.658 0.020
16 O 0.815 0.158 0.480
17 O 0.305 0.437 0.380
18 O 0.500 0.144 0.758
19 O 0.695 0.563 0.620
20 O 0.315 0.696 0.285
21 O 0.000 0.357 0.850
22 O 0.000 0.761 0.396
23 O 0.500 0.739 0.896
24 O 0.000 0.167 0.765
25 O 0.000 0.674 0.539
26 O 0.500 0.813 0.394
27 O 0.685 0.342 0.980
28 O 0.000 0.687 0.894
29 O 0.500 0.333 0.265
30 O 0.500 0.689 0.529
31 O 0.500 0.000 0.500
32 O 0.185 0.842 0.520
33 O 0.000 0.559 0.334
34 O 0.315 0.304 0.715
35 O 0.000 0.500 0.000
36 O 0.000 0.811 0.029
37 O 0.500 0.856 0.242
38 O 0.305 0.563 0.620
39 O 0.315 0.658 0.020
40 O 0.000 0.326 0.461
41 O 0.000 0.189 0.971
42 O 0.000 0.313 0.106
43 O 0.500 0.826 0.039
44 O 0.000 0.644 0.742
45 O 0.815 0.196 0.215
46 O 0.815 0.804 0.785
47 O 0.185 0.196 0.215
48 O 0.000 0.356 0.258
49 O 0.500 0.667 0.735
50 O 0.000 0.239 0.604
51 O 0.000 0.000 0.000
52 O 0.500 0.261 0.104
53 O 0.315 0.342 0.980
54 O 0.000 0.643 0.150
55 O 0.195 0.937 0.120
56 O 0.185 0.804 0.785
57 O 0.500 0.500 0.500
58 O 0.500 0.187 0.606
59 O 0.000 0.441 0.666
60 O 0.500 0.143 0.350
61 P 0.000 0.914 0.070
62 P 0.500 0.762 0.307
63 P 0.000 0.262 0.193
64 P 0.000 0.086 0.930
65 P 0.000 0.778 0.491
66 P 0.500 0.238 0.693
67 P 0.500 0.414 0.430
68 P 0.500 0.586 0.570
69 P 0.500 0.278 0.009
70 P 0.000 0.222 0.509
71 P 0.000 0.738 0.807
72 P 0.500 0.722 0.991
73 Nb 0.500 0.146 0.473
74 Nb 0.000 0.354 0.973
75 Nb 0.000 0.646 0.027
76 Nb 0.000 0.706 0.268
77 Nb 0.000 0.294 0.732
78 Nb 0.500 0.854 0.527
79 Nb 0.000 0.427 0.363
80 Nb 0.000 0.573 0.637
81 Nb 0.500 0.206 0.232
82 Nb 0.500 0.794 0.768
83 Nb 0.500 0.927 0.137
84 Nb 0.500 0.073 0.863
85 Cs 0.500 0.516 0.168
86 Cs 0.500 0.484 0.832
87 Cs 0.000 0.984 0.668
88 Cs 0.000 0.016 0.332